Computed, not measured: crystalline ErCu4Pd at its relaxed geometry at the r2SCAN level of DFT.

The structure in POSCAR format:
```
ErCu4Pd
1.0
0.000 3.482 3.482
3.482 0.000 3.482
3.482 3.482 0.000
Er Cu Pd
1 4 1
direct
0.000 0.000 0.000
0.127 0.624 0.624
0.624 0.127 0.624
0.624 0.624 0.127
0.624 0.624 0.624
0.250 0.250 0.250
```

* magnetic moment: 0.0 μB per cell
* space-group type: F-43m (216)
* electronic total energy: -102.6 eV for the cell shown